First-principles (PBE) data for crystalline TbInPt2 at its relaxed geometry, as listed in Materials Project.

Cell: 4.5903 4.5903 9.1454 Å, 90.00 90.00 120.00°
Fractional positions:
1 In 0.0000 0.0000 0.5000
2 Tb 0.3333 0.6667 0.2500
3 Pt 0.3333 0.6667 0.5922
4 Pt 0.6667 0.3333 0.0922
5 Pt 0.3333 0.6667 0.9078
6 Pt 0.6667 0.3333 0.4078
7 Tb 0.6667 0.3333 0.7500
8 In 0.0000 0.0000 0.0000

raw total energy: -5.84 eV/atom
formation energy from the elements: -0.95 eV per atom

First-principles (PBE) data for crystalline TbInPt at its relaxed geometry, as listed in Materials Project.

Cell: 7.7311 7.7311 3.8550 Å, 90.00 90.00 120.00°
Fractional positions:
1 In 0.7391 0.0000 0.5000
2 In 0.0000 0.7391 0.5000
3 In 0.2609 0.2609 0.5000
4 Pt 0.6667 0.3333 0.5000
5 Tb 0.4062 0.0000 0.0000
6 Tb 0.0000 0.4062 0.0000
7 Tb 0.5938 0.5938 0.0000
8 Pt 0.3333 0.6667 0.5000
9 Pt 0.0000 0.0000 0.0000

raw total energy: -5.48 eV/atom
formation energy from the elements: -0.99 eV per atom

First-principles (PBE) data for crystalline Tb6In23Pt12 at its relaxed geometry, as listed in Materials Project.

Cell: 14.5233 14.5233 14.9815 Å, 67.94 67.94 17.69°
Fractional positions:
1 In 0.9546 0.9546 0.3334
2 In 0.7133 0.7133 0.5654
3 In 0.5754 0.5754 0.4940
4 Tb 0.4541 0.4541 0.6986
5 Pt 0.7468 0.7468 0.3641
6 In 0.4079 0.4079 0.9502
7 Pt 0.3906 0.3906 0.3590
8 Tb 0.5459 0.5459 0.3014
9 Tb 0.8219 0.8219 0.0780
10 In 0.3264 0.3264 0.7182
11 In 0.2867 0.2867 0.4346
12 In 0.7273 0.7273 0.7557
13 Pt 0.0326 0.0326 0.1424
14 Tb 0.8341 0.8341 0.5307
15 In 0.2727 0.2727 0.2443
16 Tb 0.1781 0.1781 0.9220
17 In 0.6736 0.6736 0.2818
18 In 0.1457 0.1457 0.7206
19 Pt 0.9005 0.9005 0.6345
20 In 0.5921 0.5921 0.0498
21 In 0.5287 0.5287 0.8255
22 Pt 0.2532 0.2532 0.6359
23 Pt 0.3810 0.3810 0.1493
24 In 0.7622 0.7622 0.9164
25 In 0.1234 0.1234 0.1706
26 In 0.2378 0.2378 0.0836
27 In 0.0000 0.0000 0.5000
28 Pt 0.0995 0.0995 0.3655
29 In 0.8543 0.8543 0.2794
30 In 0.9438 0.9438 0.0615
31 In 0.0454 0.0454 0.6666
32 Pt 0.9674 0.9674 0.8576
33 Pt 0.6190 0.6190 0.8507
34 Pt 0.3206 0.3206 0.9108
35 In 0.4713 0.4713 0.1745
36 In 0.8766 0.8766 0.8294
37 Pt 0.6794 0.6794 0.0892
38 In 0.4246 0.4246 0.5060
39 In 0.0562 0.0562 0.9385
40 Pt 0.6094 0.6094 0.6410
41 Tb 0.1659 0.1659 0.4693

raw total energy: -4.62 eV/atom
formation energy from the elements: -0.62 eV per atom

First-principles (PBE) data for crystalline TiInPt2 at its relaxed geometry, as listed in Materials Project.

Cell: 3.2390 3.2390 6.6282 Å, 90.00 90.00 90.00°
Fractional positions:
1 Pt 0.5000 0.5000 0.7157
2 In 0.0000 0.0000 0.0000
3 Ti 0.0000 0.0000 0.5000
4 Pt 0.5000 0.5000 0.2843

raw total energy: -6.39 eV/atom
formation energy from the elements: -0.69 eV per atom

First-principles (PBE) data for crystalline TmInPt2 at its relaxed geometry, as listed in Materials Project.

Cell: 4.7692 4.7692 4.7692 Å, 60.00 60.00 60.00°
Fractional positions:
1 In 0.5000 0.5000 0.5000
2 Pt 0.7500 0.7500 0.7500
3 Tm 0.0000 0.0000 0.0000
4 Pt 0.2500 0.2500 0.2500

raw total energy: -5.78 eV/atom
formation energy from the elements: -0.93 eV per atom

First-principles (PBE) data for crystalline UInPt at its relaxed geometry, as listed in Materials Project.

Cell: 7.3900 7.3900 4.1853 Å, 90.00 90.00 120.00°
Fractional positions:
1 Pt 0.0000 0.0000 0.5000
2 In 0.2507 0.2507 0.0000
3 U 0.4176 0.0000 0.5000
4 Pt 0.3333 0.6667 0.0000
5 In 0.0000 0.7493 0.0000
6 U 0.5824 0.5824 0.5000
7 U 0.0000 0.4176 0.5000
8 In 0.7493 0.0000 0.0000
9 Pt 0.6667 0.3333 0.0000

raw total energy: -7.15 eV/atom
formation energy from the elements: -0.45 eV per atom

First-principles (PBE) data for crystalline U2InPt2 at its relaxed geometry, as listed in Materials Project.

Cell: 7.8335 7.8335 7.2549 Å, 90.00 90.00 90.00°
Fractional positions:
1 Pt 0.8657 0.1343 0.2326
2 In 0.0000 0.5000 0.7500
3 Pt 0.6343 0.6343 0.7326
4 U 0.6584 0.3416 0.0000
5 Pt 0.1343 0.8657 0.7674
6 Pt 0.3657 0.3657 0.7326
7 Pt 0.3657 0.3657 0.2674
8 In 0.0000 0.5000 0.2500
9 In 0.5000 0.0000 0.7500
10 U 0.3232 0.6768 0.5000
11 U 0.1768 0.1768 0.0000
12 U 0.3416 0.6584 0.0000
13 Pt 0.1343 0.8657 0.2326
14 In 0.5000 0.0000 0.2500
15 U 0.8232 0.8232 0.0000
16 U 0.1584 0.1584 0.5000
17 U 0.8416 0.8416 0.5000
18 U 0.6768 0.3232 0.5000
19 Pt 0.8657 0.1343 0.7674
20 Pt 0.6343 0.6343 0.2674

raw total energy: -8.04 eV/atom
formation energy from the elements: -0.54 eV per atom

First-principles (PBE) data for crystalline U2InPt2 at its relaxed geometry, as listed in Materials Project.

Cell: 7.8261 7.8261 3.6319 Å, 90.00 90.00 90.00°
Fractional positions:
1 U 0.3320 0.8320 0.0000
2 Pt 0.1336 0.6336 0.5000
3 Pt 0.3664 0.1336 0.5000
4 U 0.6680 0.1680 0.0000
5 U 0.1680 0.3320 0.0000
6 Pt 0.8664 0.3664 0.5000
7 Pt 0.6336 0.8664 0.5000
8 U 0.8320 0.6680 0.0000
9 In 0.5000 0.5000 0.5000
10 In 0.0000 0.0000 0.5000

raw total energy: -8.03 eV/atom
formation energy from the elements: -0.54 eV per atom

First-principles (PBE) data for crystalline YInPt at its relaxed geometry, as listed in Materials Project.

Cell: 7.7306 7.7306 3.8578 Å, 90.00 90.00 120.00°
Fractional positions:
1 In 0.2604 0.2604 0.0000
2 Y 0.0000 0.4068 0.5000
3 Pt 0.0000 0.0000 0.5000
4 Y 0.4068 0.0000 0.5000
5 Pt 0.6667 0.3333 0.0000
6 In 0.0000 0.7396 0.0000
7 In 0.7396 0.0000 0.0000
8 Y 0.5932 0.5932 0.5000
9 Pt 0.3333 0.6667 0.0000

raw total energy: -6.09 eV/atom
formation energy from the elements: -0.99 eV per atom

First-principles (PBE) data for crystalline PuIn3 at its relaxed geometry, as listed in Materials Project.

Cell: 4.6701 4.6701 4.6701 Å, 90.00 90.00 90.00°
Fractional positions:
1 Pu 0.0000 0.0000 0.0000
2 In 0.5000 0.0000 0.5000
3 In 0.0000 0.5000 0.5000
4 In 0.5000 0.5000 0.0000

raw total energy: -5.86 eV/atom
formation energy from the elements: -0.23 eV per atom

First-principles (PBE) data for crystalline Pu2InRh2 at its relaxed geometry, as listed in Materials Project.

Cell: 7.5261 7.5261 3.7634 Å, 90.00 90.00 90.00°
Fractional positions:
1 Pu 0.3336 0.8336 0.5000
2 Pu 0.1664 0.3336 0.5000
3 Rh 0.3628 0.1372 0.0000
4 Rh 0.1372 0.6372 0.0000
5 In 0.0000 0.0000 0.0000
6 Pu 0.6664 0.1664 0.5000
7 In 0.5000 0.5000 0.0000
8 Rh 0.6372 0.8628 0.0000
9 Pu 0.8336 0.6664 0.5000
10 Rh 0.8628 0.3628 0.0000

raw total energy: -9.71 eV/atom
formation energy from the elements: -0.51 eV per atom

First-principles (PBE) data for crystalline Rb3In at its relaxed geometry, as listed in Materials Project.

Cell: 6.1890 6.1890 6.1890 Å, 90.00 90.00 90.00°
Fractional positions:
1 Rb 0.0000 0.5000 0.5000
2 Rb 0.5000 0.5000 0.0000
3 Rb 0.5000 0.0000 0.5000
4 In 0.0000 0.0000 0.0000

raw total energy: -1.32 eV/atom
formation energy from the elements: 0.11 eV per atom

First-principles (PBE) data for crystalline Rb3In at its relaxed geometry, as listed in Materials Project.

Cell: 7.3840 7.3840 7.3840 Å, 129.33 129.33 74.48°
Fractional positions:
1 Rb 0.7500 0.2500 0.5000
2 In 0.0000 0.0000 0.0000
3 Rb 0.5000 0.5000 0.0000
4 Rb 0.2500 0.7500 0.5000

raw total energy: -1.32 eV/atom
formation energy from the elements: 0.10 eV per atom

First-principles (PBE) data for crystalline Rb8In11 at its relaxed geometry, as listed in Materials Project.

Cell: 18.5974 18.5974 18.5974 Å, 32.36 32.36 32.36°
Fractional positions:
1 Rb 0.1538 0.5928 0.8188
2 In 0.5674 0.2720 0.0003
3 In 0.0674 0.5003 0.7720
4 Rb 0.0928 0.6538 0.3188
5 In 0.2280 0.9326 0.4997
6 In 0.7280 0.9997 0.4326
7 In 0.2720 0.0003 0.5674
8 Rb 0.6812 0.9072 0.3462
9 Rb 0.8188 0.1538 0.5928
10 In 0.0003 0.5674 0.2720
11 In 0.5003 0.7720 0.0674
12 In 0.2500 0.4562 0.0438
13 In 0.5438 0.9562 0.7500
14 In 0.2011 0.2011 0.2011
15 Rb 0.4205 0.4205 0.4205
16 In 0.9562 0.7500 0.5438
17 In 0.9326 0.4997 0.2280
18 Rb 0.4072 0.1812 0.8462
19 In 0.7011 0.7011 0.7011
20 Rb 0.0795 0.0795 0.0795
21 In 0.7500 0.5438 0.9562
22 In 0.7989 0.7989 0.7989
23 In 0.9997 0.4326 0.7280
24 Rb 0.9072 0.3462 0.6812
25 In 0.0438 0.2500 0.4562
26 Rb 0.3462 0.6812 0.9072
27 In 0.4326 0.7280 0.9997
28 Rb 0.8462 0.4072 0.1812
29 Rb 0.1812 0.8462 0.4072
30 In 0.2989 0.2989 0.2989
31 Rb 0.9205 0.9205 0.9205
32 In 0.7720 0.0674 0.5003
33 Rb 0.3188 0.0928 0.6538
34 In 0.4562 0.0438 0.2500
35 Rb 0.5795 0.5795 0.5795
36 In 0.4997 0.2280 0.9326
37 Rb 0.5928 0.8188 0.1538
38 Rb 0.6538 0.3188 0.0928

raw total energy: -2.14 eV/atom
formation energy from the elements: -0.14 eV per atom

First-principles (PBE) data for crystalline Rb3In at its relaxed geometry, as listed in Materials Project.

Cell: 6.8653 6.8653 6.8653 Å, 60.00 60.00 60.00°
Fractional positions:
1 In 0.0000 0.0000 0.0000
2 Rb 0.5000 0.5000 0.5000
3 Rb 0.7500 0.7500 0.7500
4 Rb 0.2500 0.2500 0.2500

raw total energy: -1.32 eV/atom
formation energy from the elements: 0.11 eV per atom

First-principles (PBE) data for crystalline Rb3InS3 at its relaxed geometry, as listed in Materials Project.

Cell: 8.2574 8.2574 8.0351 Å, 83.73 83.73 113.47°
Fractional positions:
1 In 0.6753 0.6753 0.8534
2 S 0.3454 0.0517 0.2744
3 In 0.3247 0.3247 0.1466
4 Rb 0.8873 0.8873 0.3535
5 Rb 0.3207 0.6793 0.5000
6 S 0.9483 0.6546 0.7256
7 Rb 0.2528 0.7472 0.0000
8 S 0.0517 0.3454 0.2744
9 Rb 0.6793 0.3207 0.5000
10 S 0.6011 0.6011 0.1772
11 Rb 0.1127 0.1127 0.6465
12 S 0.3989 0.3989 0.8228
13 Rb 0.7472 0.2528 0.0000
14 S 0.6546 0.9483 0.7256

raw total energy: -3.63 eV/atom
formation energy from the elements: -1.26 eV per atom

First-principles (PBE) data for crystalline Rb4In2S5 at its relaxed geometry, as listed in Materials Project.

Cell: 7.7603 9.5054 11.0218 Å, 107.28 108.99 85.52°
Fractional positions:
1 Rb 0.2260 0.5288 0.6608
2 S 0.2097 0.4768 0.9554
3 S 0.8297 0.8438 0.4365
4 Rb 0.4987 0.2101 0.9169
5 S 0.7280 0.5210 0.6537
6 Rb 0.5013 0.7899 0.0831
7 Rb 0.8898 0.8170 0.9087
8 S 0.2578 0.8934 0.8159
9 S 0.7903 0.5232 0.0446
10 Rb 0.5433 0.1887 0.4577
11 Rb 0.4567 0.8113 0.5423
12 Rb 0.7740 0.4712 0.3392
13 In 0.1236 0.5904 0.1692
14 Rb 0.1102 0.1830 0.0913
15 S 0.1703 0.1562 0.5635
16 In 0.9683 0.9990 0.3403
17 In 0.0317 0.0010 0.6597
18 S 0.2720 0.4790 0.3463
19 S 0.7422 0.1066 0.1841
20 In 0.8764 0.4096 0.8308
21 S 0.1943 0.8634 0.2294
22 S 0.8057 0.1366 0.7706

raw total energy: -3.74 eV/atom
formation energy from the elements: -1.23 eV per atom

First-principles (PBE) data for crystalline RbIn5S8 at its relaxed geometry, as listed in Materials Project.

Cell: 9.8515 9.8515 9.3968 Å, 77.99 77.99 22.99°
Fractional positions:
1 In 0.2883 0.2883 0.3392
2 In 0.7117 0.7117 0.6608
3 S 0.4163 0.4163 0.1297
4 In 0.6475 0.6475 0.0811
5 In 0.0000 0.0000 0.0000
6 S 0.5837 0.5837 0.8703
7 S 0.8341 0.8341 0.4796
8 S 0.2363 0.2363 0.8473
9 S 0.9263 0.9263 0.7928
10 S 0.1659 0.1659 0.5204
11 Rb 0.5000 0.5000 0.5000
12 S 0.0737 0.0737 0.2072
13 In 0.3525 0.3525 0.9189
14 S 0.7637 0.7637 0.1527

raw total energy: -4.07 eV/atom
formation energy from the elements: -0.94 eV per atom

First-principles (PBE) data for crystalline Ta2InRe2Se8 at its relaxed geometry, as listed in Materials Project.

Cell: 3.4706 3.4708 31.7880 Å, 90.00 90.00 60.00°
Fractional positions:
1 Re 0.0001 0.0000 0.6250
2 Se 0.6666 0.6667 0.0645
3 Se 0.3334 0.3333 0.9277
4 Re 0.9999 0.0001 0.1132
5 Se 0.6668 0.6666 0.6739
6 Se 0.6667 0.6666 0.5761
7 Se 0.3334 0.3333 0.8221
8 In 0.9999 0.0001 0.2552
9 Se 0.3334 0.3333 0.4379
10 Ta 0.0000 0.0000 0.3853
11 Se 0.3333 0.3333 0.3320
12 Ta 0.0001 0.0000 0.8749
13 Se 0.6665 0.6668 0.1622

raw total energy: -6.51 eV/atom
formation energy from the elements: -0.70 eV per atom

First-principles (PBE) data for crystalline InRh at its relaxed geometry, as listed in Materials Project.

Cell: 3.2436 3.2436 3.2436 Å, 90.00 90.00 90.00°
Fractional positions:
1 Rh 0.5000 0.5000 0.5000
2 In 0.0000 0.0000 0.0000

raw total energy: -5.47 eV/atom
formation energy from the elements: -0.41 eV per atom